! Y13Ho3O24 | the Materials Project database | PBE | relaxed; values from VASP
&SYSTEM
  ibrav = 0, nat = 40, ntyp = 3
/
ATOMIC_SPECIES
O 16.00 O.upf
Ho 164.93 Ho.upf
Y 88.91 Y.upf
CELL_PARAMETERS angstrom
9.257 0.000 0.000
-3.084 8.730 0.000
-3.086 -4.365 7.562
ATOMIC_POSITIONS crystal
O 0.989 0.727 0.957
Ho 0.500 0.500 0.500
Y 0.968 0.218 0.250
O 0.531 0.543 0.770
Y 0.000 0.000 0.500
Y 0.750 0.033 0.782
O 0.543 0.769 0.531
O 0.469 0.457 0.230
O 0.968 0.240 0.511
O 0.513 0.971 0.242
O 0.231 0.468 0.457
O 0.773 0.262 0.729
O 0.011 0.273 0.042
O 0.957 0.989 0.728
O 0.031 0.760 0.489
O 0.729 0.958 0.989
O 0.238 0.512 0.969
O 0.227 0.738 0.270
Ho 0.717 0.251 0.468
Y 0.250 0.467 0.717
Ho 0.000 0.500 0.999
O 0.271 0.042 0.011
O 0.739 0.271 0.229
O 0.260 0.729 0.772
Y 0.032 0.782 0.750
O 0.271 0.229 0.740
Y 0.217 0.250 0.968
O 0.459 0.231 0.469
Y 0.282 0.749 0.532
O 0.489 0.031 0.760
O 0.729 0.771 0.260
O 0.769 0.530 0.542
Y 0.500 0.000 0.000
Y 0.250 0.968 0.218
Y 0.750 0.532 0.282
O 0.762 0.488 0.031
Y 0.783 0.750 0.032
Y 0.533 0.283 0.750
O 0.043 0.012 0.272
Y 0.467 0.717 0.250
! **Final energy**: -8.983 eV per atom
! **Energy of formation**: -3.981 eV/atom
! **Symmetry**: P1, No. 1

***

! Y7HoO12 | the Materials Project database | PBE | relaxed; values from VASP
&SYSTEM
  ibrav = 0, nat = 40, ntyp = 3
/
ATOMIC_SPECIES
O 16.00 O.upf
Y 88.91 Y.upf
Ho 164.93 Ho.upf
CELL_PARAMETERS angstrom
-1.852 5.739 7.019
-7.624 -1.185 -5.108
2.774 -8.170 3.345
ATOMIC_POSITIONS crystal
O 0.988 0.030 0.759
Y 0.250 0.032 0.782
Y 0.533 0.783 0.750
Ho 0.717 0.250 0.967
Y 0.283 0.750 0.033
O 0.771 0.229 0.741
Y 0.967 0.717 0.250
O 0.729 0.470 0.458
O 0.533 0.761 0.489
O 0.957 0.229 0.469
O 0.458 0.990 0.729
Y 0.999 0.500 0.499
O 0.011 0.968 0.239
Y 0.250 0.533 0.283
Y 0.500 0.500 0.001
Y 0.217 0.250 0.467
O 0.772 0.044 0.011
O 0.272 0.261 0.729
Ho 0.783 0.750 0.533
Y 0.501 0.000 0.501
Y 0.032 0.282 0.750
Y 0.750 0.468 0.718
O 0.230 0.772 0.261
Y 0.000 0.000 0.999
O 0.270 0.532 0.542
O 0.728 0.739 0.272
O 0.512 0.271 0.042
O 0.239 0.271 0.228
O 0.228 0.958 0.989
O 0.261 0.489 0.031
O 0.543 0.011 0.272
Y 0.468 0.218 0.250
O 0.967 0.456 0.228
O 0.042 0.770 0.531
O 0.489 0.728 0.958
O 0.761 0.730 0.771
O 0.469 0.239 0.511
O 0.031 0.542 0.771
Y 0.750 0.967 0.217
O 0.739 0.510 0.969
! **Final energy**: -9.027 eV per atom
! **Energy of formation**: -3.978 eV/atom
! **Symmetry**: I2_12_12_1, No. 24

***

! YHoO3 | the Materials Project database | PBE | relaxed; values from VASP
&SYSTEM
  ibrav = 0, nat = 30, ntyp = 3
/
ATOMIC_SPECIES
Y 88.91 Y.upf
O 16.00 O.upf
Ho 164.93 Ho.upf
CELL_PARAMETERS angstrom
3.213 -5.564 0.000
3.213 5.564 0.000
0.000 0.000 12.765
ATOMIC_POSITIONS crystal
Y 0.333 0.667 0.237
O 0.693 0.693 0.175
Y 0.667 0.333 0.237
Y 0.000 0.000 0.770
O 0.667 0.333 0.529
Ho 0.333 0.333 0.501
Ho 0.667 0.667 0.001
O 0.000 0.000 0.468
O 0.000 0.638 0.330
O 0.362 0.362 0.330
Ho 0.000 0.667 0.501
O 0.000 0.693 0.675
O 0.693 0.000 0.675
O 0.333 0.667 0.029
Y 0.667 0.333 0.737
O 0.000 0.307 0.175
Ho 0.000 0.333 0.001
O 0.667 0.333 0.029
O 0.333 0.667 0.529
O 0.000 0.000 0.968
O 0.000 0.362 0.830
Ho 0.667 0.000 0.501
O 0.362 0.000 0.830
O 0.307 0.000 0.175
O 0.638 0.000 0.330
Y 0.333 0.667 0.737
Ho 0.333 0.000 0.001
O 0.638 0.638 0.830
O 0.307 0.307 0.675
Y 0.000 0.000 0.270
! **Total moment**: 0.00 μB/atom
! **Final energy**: -8.679 eV per atom
! **Energy of formation**: -3.913 eV/atom
! **Symmetry**: P6_3cm, No. 185

***

! Y13Ho19O48 | the Materials Project database | PBE | relaxed; values from VASP
&SYSTEM
  ibrav = 0, nat = 80, ntyp = 3
/
ATOMIC_SPECIES
Y 88.91 Y.upf
O 16.00 O.upf
Ho 164.93 Ho.upf
CELL_PARAMETERS angstrom
-3.856 8.371 -0.420
-5.598 0.445 -7.320
-11.470 -4.856 8.476
ATOMIC_POSITIONS crystal
Y 0.500 0.000 0.500
O 0.592 0.374 0.364
O 0.490 0.250 0.521
O 0.255 0.473 0.984
Ho 0.892 0.892 0.359
O 0.223 0.006 0.235
Y 0.141 0.141 0.109
Y 0.158 0.092 0.875
Ho 0.517 0.017 0.766
O 0.408 0.623 0.635
O 0.407 0.105 0.364
O 0.500 0.741 0.271
O 0.723 0.506 0.735
Ho 0.266 0.766 0.516
Y 0.750 0.250 0.750
Y 0.842 0.908 0.625
Ho 0.609 0.609 0.141
Ho 0.484 0.983 0.234
Y 0.342 0.408 0.125
O 0.235 0.537 0.494
O 0.009 0.251 0.979
O 0.392 0.150 0.120
O 0.145 0.843 0.386
O 0.891 0.650 0.620
O 0.500 0.260 0.729
O 0.000 0.241 0.771
O 0.787 0.485 0.244
O 0.277 0.495 0.267
Ho 0.658 0.592 0.875
O 0.755 0.973 0.484
O 0.609 0.848 0.880
Ho 0.342 0.408 0.625
Ho 0.016 0.517 0.267
Ho 0.392 0.392 0.858
O 0.902 0.141 0.370
O 0.907 0.605 0.864
O 0.906 0.124 0.136
O 0.600 0.359 0.130
Y 0.000 0.499 0.500
O 0.735 0.037 0.994
O 0.000 0.760 0.229
O 0.743 0.527 0.015
O 0.287 0.985 0.744
Y 0.750 0.250 0.250
Y 0.658 0.592 0.375
O 0.376 0.157 0.886
O 0.267 0.962 0.005
Ho 0.984 0.484 0.734
Ho 0.641 0.641 0.609
O 0.127 0.343 0.615
Ho 0.766 0.266 0.016
O 0.109 0.348 0.380
O 0.627 0.843 0.115
Y 0.250 0.750 0.250
O 0.244 0.027 0.516
O 0.509 0.750 0.479
O 0.093 0.874 0.864
O 0.855 0.158 0.614
Ho 0.158 0.092 0.375
O 0.765 0.462 0.506
Ho 0.234 0.733 0.983
Ho 0.358 0.358 0.392
Ho 0.109 0.109 0.641
Y 0.250 0.750 0.750
Y 0.501 0.999 0.000
O 0.100 0.859 0.630
Ho 0.733 0.234 0.484
Ho 0.858 0.858 0.891
O 0.402 0.641 0.870
Y 0.999 0.501 0.000
O 0.592 0.895 0.636
O 0.355 0.658 0.114
O 0.990 0.751 0.021
O 0.645 0.343 0.886
O 0.777 0.995 0.766
O 0.713 0.015 0.256
O 0.092 0.397 0.136
O 0.213 0.515 0.756
O 0.876 0.657 0.386
Ho 0.842 0.907 0.125
! **Total moment**: 0.00 μB/atom
! **Final energy**: -8.704 eV per atom
! **Energy of formation**: -4.008 eV/atom
! **Symmetry**: P1, No. 1

***

! Ho4Zr3O12 | the Materials Project database | PBE | relaxed; values from VASP
&SYSTEM
  ibrav = 0, nat = 19, ntyp = 3
/
ATOMIC_SPECIES
Zr 91.22 Zr.upf
O 16.00 O.upf
Ho 164.93 Ho.upf
CELL_PARAMETERS angstrom
-2.143 -2.003 -5.648
4.016 -4.795 1.378
-5.159 -1.759 3.680
ATOMIC_POSITIONS crystal
Zr 0.151 0.603 0.328
Zr 0.849 0.397 0.672
O 0.414 0.581 0.179
O 0.173 0.429 0.573
O 0.587 0.187 0.433
O 0.685 0.931 0.061
O 0.827 0.571 0.427
Ho 0.305 0.135 0.609
O 0.586 0.419 0.821
Zr 0.000 0.000 0.000
O 0.031 0.678 0.888
O 0.920 0.084 0.693
O 0.969 0.322 0.112
O 0.315 0.069 0.939
O 0.413 0.813 0.567
Ho 0.695 0.865 0.391
Ho 0.389 0.699 0.865
Ho 0.611 0.301 0.135
O 0.080 0.916 0.307
! **Final energy**: -8.964 eV per atom
! **Energy of formation**: -3.959 eV/atom
! **Energy relative to the lowest polymorph listed for this composition**: 0 meV per atom
! **Symmetry**: P-1, No. 2

***

! Ho4Zr3O12 | the Materials Project database | PBE | relaxed; values from VASP
&SYSTEM
  ibrav = 0, nat = 38, ntyp = 3
/
ATOMIC_SPECIES
O 16.00 O.upf
Ho 164.93 Ho.upf
Zr 91.22 Zr.upf
CELL_PARAMETERS angstrom
-0.267 4.428 -4.620
-6.206 -0.019 1.787
4.848 7.181 9.523
ATOMIC_POSITIONS crystal
O 0.568 0.830 0.463
O 0.923 0.682 0.278
O 0.924 0.080 0.406
Ho 0.140 0.308 0.553
Ho 0.299 0.610 0.319
O 0.815 0.408 0.531
O 0.318 0.961 0.297
O 0.589 0.819 0.963
O 0.037 0.894 0.089
O 0.682 0.039 0.703
Ho 0.860 0.692 0.447
O 0.407 0.566 0.158
Ho 0.701 0.390 0.681
O 0.077 0.307 0.209
O 0.432 0.170 0.537
O 0.574 0.416 0.341
O 0.185 0.592 0.469
Ho 0.611 0.137 0.903
O 0.320 0.944 0.789
Ho 0.312 0.610 0.819
O 0.077 0.318 0.722
Zr 0.392 0.856 0.593
O 0.826 0.425 0.034
Zr 0.145 0.323 0.054
O 0.426 0.584 0.659
Zr 0.608 0.144 0.407
Zr 0.855 0.677 0.946
O 0.680 0.056 0.211
Ho 0.389 0.863 0.097
Ho 0.688 0.390 0.181
Zr 0.008 0.007 0.753
O 0.076 0.920 0.594
O 0.174 0.575 0.966
O 0.923 0.693 0.791
O 0.963 0.106 0.911
Zr 0.992 0.993 0.247
O 0.593 0.434 0.842
O 0.411 0.181 0.037
! **Final energy**: -8.958 eV per atom
! **Energy of formation**: -3.953 eV/atom
! **Energy relative to the lowest polymorph listed for this composition**: 6 meV per atom
! **Symmetry**: P-1, No. 2

***

! HoOs3 | the Materials Project database | PBE | relaxed; values from VASP
&SYSTEM
  ibrav = 0, nat = 8, ntyp = 2
/
ATOMIC_SPECIES
Os 190.23 Os.upf
Ho 164.93 Ho.upf
CELL_PARAMETERS angstrom
-1.064 5.589 1.227
-2.860 -2.623 -4.337
-3.314 -1.281 2.961
ATOMIC_POSITIONS crystal
Os 0.159 0.317 0.250
Os 0.683 0.841 0.250
Os 0.841 0.159 0.750
Ho 0.333 0.667 0.750
Os 0.317 0.159 0.750
Os 0.841 0.683 0.750
Os 0.159 0.841 0.250
Ho 0.667 0.333 0.250
! **Total moment**: 0.00 μB/atom
! **Final energy**: -9.188 eV per atom
! **Energy of formation**: 0.379 eV/atom
! **Symmetry**: P6_3/mmc, No. 194

***

! Ho2OsPt | the Materials Project database | PBE | relaxed; values from VASP
&SYSTEM
  ibrav = 0, nat = 4, ntyp = 3
/
ATOMIC_SPECIES
Pt 195.08 Pt.upf
Os 190.23 Os.upf
Ho 164.93 Ho.upf
CELL_PARAMETERS angstrom
0.000 3.436 3.436
3.436 0.000 3.436
3.436 3.436 0.000
ATOMIC_POSITIONS crystal
Pt 0.000 0.000 0.000
Os 0.500 0.500 0.500
Ho 0.250 0.250 0.250
Ho 0.750 0.750 0.750
! **Total moment**: 0.00 μB/atom
! **Final energy**: -7.303 eV per atom
! **Energy of formation**: -0.687 eV/atom
! **Symmetry**: Fm-3m, No. 225

***

! HoPuOs2 | the Materials Project database | PBE | relaxed; values from VASP
&SYSTEM
  ibrav = 0, nat = 4, ntyp = 3
/
ATOMIC_SPECIES
Os 190.23 Os.upf
Ho 164.93 Ho.upf
Pu 244.00 Pu.upf
CELL_PARAMETERS angstrom
-0.188 1.906 4.390
2.196 4.160 0.901
-2.587 3.953 0.785
ATOMIC_POSITIONS crystal
Os 0.750 0.750 0.750
Ho 0.500 0.500 0.500
Os 0.250 0.250 0.250
Pu 0.000 0.000 0.000
! **Total moment**: 0.00 μB/atom
! **Final energy**: -10.008 eV per atom
! **Energy of formation**: 0.318 eV/atom
! **Symmetry**: Fm-3m, No. 225

***

! Ho2OsRu | the Materials Project database | PBE | relaxed; values from VASP
&SYSTEM
  ibrav = 0, nat = 4, ntyp = 3
/
ATOMIC_SPECIES
Ru 101.07 Ru.upf
Ho 164.93 Ho.upf
Os 190.23 Os.upf
CELL_PARAMETERS angstrom
4.459 -1.195 1.315
0.996 -0.837 4.620
0.951 -4.466 1.479
ATOMIC_POSITIONS crystal
Ru 0.000 0.000 0.000
Ho 0.250 0.250 0.250
Ho 0.750 0.750 0.750
Os 0.500 0.500 0.500
! **Final energy**: -7.631 eV per atom
! **Energy of formation**: -0.215 eV/atom
! **Symmetry**: Fm-3m, No. 225

***

! HoSi2Os2 | the Materials Project database | PBE | relaxed; values from VASP
&SYSTEM
  ibrav = 0, nat = 5, ntyp = 3
/
ATOMIC_SPECIES
Ho 164.93 Ho.upf
Os 190.23 Os.upf
Si 28.09 Si.upf
CELL_PARAMETERS angstrom
4.184 0.000 0.000
0.000 4.184 0.000
-2.092 -2.092 4.807
ATOMIC_POSITIONS crystal
Ho 0.000 0.000 0.000
Os 0.250 0.750 0.500
Si 0.628 0.628 0.256
Si 0.372 0.372 0.744
Os 0.750 0.250 0.500
! **Final energy**: -8.300 eV per atom
! **Energy of formation**: -0.722 eV/atom
! **Symmetry**: I4/mmm, No. 139

***

! Ho3Si13Os4 | the Materials Project database | PBE | relaxed; values from VASP
&SYSTEM
  ibrav = 0, nat = 40, ntyp = 3
/
ATOMIC_SPECIES
Si 28.09 Si.upf
Os 190.23 Os.upf
Ho 164.93 Ho.upf
CELL_PARAMETERS angstrom
-7.829 3.653 1.643
-3.729 -5.327 -5.921
-1.464 -5.968 6.292
ATOMIC_POSITIONS crystal
Si 0.281 0.000 0.138
Os 0.750 0.250 0.250
Si 0.500 0.781 0.638
Si 0.000 0.862 0.719
Si 0.281 0.000 0.862
Si 0.500 0.781 0.362
Si 0.638 0.500 0.219
Si 0.500 0.500 0.500
Si 0.500 0.219 0.638
Ho 0.250 0.000 0.500
Si 0.862 0.719 0.000
Os 0.250 0.750 0.250
Ho 0.750 0.000 0.500
Os 0.750 0.750 0.750
Ho 0.000 0.500 0.250
Os 0.250 0.250 0.750
Si 0.138 0.281 0.000
Os 0.250 0.250 0.250
Si 0.219 0.362 0.500
Os 0.750 0.750 0.250
Si 0.719 0.000 0.138
Ho 0.500 0.750 0.000
Ho 0.000 0.500 0.750
Si 0.219 0.638 0.500
Si 0.000 0.862 0.281
Si 0.862 0.281 0.000
Si 0.638 0.500 0.781
Os 0.250 0.750 0.750
Si 0.000 0.000 0.000
Si 0.000 0.138 0.281
Ho 0.500 0.250 0.000
Si 0.138 0.719 0.000
Si 0.781 0.638 0.500
Os 0.750 0.250 0.750
Si 0.362 0.500 0.781
Si 0.000 0.138 0.719
Si 0.362 0.500 0.219
Si 0.500 0.219 0.362
Si 0.781 0.362 0.500
Si 0.719 0.000 0.862
! **Total moment**: 0.00 μB/atom
! **Final energy**: -6.917 eV per atom
! **Energy of formation**: -0.458 eV/atom
! **Symmetry**: Pm-3n, No. 223